Record 1
V5NiH20NO22 after structural relaxation, computed with PBE+U.

Calculated values
As for the symmetry: No. 2. For the raw total energy, the calculation gives -574.1 eV/cell. For the total magnetic moment, the calculation gives 2.00 μB/f.u. The total energy after the MP2020 corrections comes out at -6.3921 eV per atom. The formation energy is -1.571 eV per atom.

Lattice parameters (Å, degrees): 8.877 11.175 11.271 65.47 71.93 71.82
Sites, in units of the cell vectors:
V 0.303 0.264 0.768
V 0.697 0.736 0.232
V 0.615 0.229 0.548
V 0.385 0.771 0.452
V 0.637 0.285 0.795
V 0.363 0.715 0.205
V 0.675 0.509 0.513
V 0.325 0.491 0.487
V 0.649 0.452 0.266
V 0.351 0.548 0.734
Ni 0.222 0.268 0.218
Ni 0.778 0.732 0.782
H 0.031 0.110 0.266
H 0.969 0.890 0.734
H 0.950 0.179 0.374
H 0.050 0.821 0.626
H 0.240 0.169 0.463
H 0.760 0.831 0.537
H 0.379 0.252 0.391
H 0.621 0.748 0.609
H 0.131 0.487 0.303
H 0.869 0.513 0.697
H 0.985 0.483 0.252
H 0.015 0.517 0.748
H 0.440 0.393 0.009
H 0.560 0.607 0.991
H 0.427 0.436 0.131
H 0.573 0.564 0.869
H 0.130 0.382 0.969
H 0.870 0.618 0.031
H 0.977 0.343 0.091
H 0.023 0.657 0.909
H 0.393 0.130 0.052
H 0.607 0.870 0.948
H 0.340 0.020 0.193
H 0.660 0.980 0.807
H 0.057 0.963 0.138
H 0.943 0.037 0.862
H 0.054 0.108 0.034
H 0.946 0.892 0.966
H 0.967 0.171 0.612
H 0.033 0.829 0.388
H 0.084 0.250 0.613
H 0.916 0.750 0.387
H 0.680 0.099 0.326
H 0.320 0.901 0.674
H 0.790 0.072 0.185
H 0.210 0.928 0.815
H 0.595 0.163 0.191
H 0.405 0.837 0.809
H 0.629 0.996 0.278
H 0.371 0.004 0.722
N 0.673 0.083 0.244
N 0.327 0.917 0.756
O 0.165 0.176 0.863
O 0.835 0.824 0.137
O 0.713 0.120 0.473
O 0.287 0.880 0.527
O 0.748 0.209 0.907
O 0.252 0.791 0.093
O 0.794 0.620 0.398
O 0.206 0.380 0.602
O 0.783 0.574 0.192
O 0.217 0.426 0.808
O 0.520 0.642 0.590
O 0.480 0.358 0.410
O 0.753 0.341 0.195
O 0.247 0.659 0.805
O 0.497 0.557 0.162
O 0.503 0.443 0.838
O 0.436 0.164 0.661
O 0.564 0.836 0.339
O 0.455 0.207 0.873
O 0.545 0.793 0.127
O 0.721 0.181 0.684
O 0.279 0.819 0.316
O 0.765 0.419 0.652
O 0.235 0.581 0.348
O 0.515 0.594 0.381
O 0.485 0.406 0.619
O 0.742 0.375 0.434
O 0.258 0.625 0.566
O 0.055 0.145 0.324
O 0.945 0.855 0.676
O 0.328 0.190 0.381
O 0.672 0.810 0.619
O 0.087 0.430 0.280
O 0.913 0.570 0.720
O 0.415 0.363 0.108
O 0.585 0.637 0.892
O 0.092 0.347 0.068
O 0.908 0.653 0.932
O 0.368 0.109 0.149
O 0.632 0.891 0.851
O 0.011 0.057 0.128
O 0.989 0.943 0.872
O 0.082 0.167 0.604
O 0.918 0.833 0.396



Record 2
V2NiH24N8O10 after structural relaxation, computed with PBE+U.

Calculated values
As for the symmetry: No. 2. For the raw total energy, the calculation gives -241.3 eV/cell. For the total magnetic moment, the calculation gives 2.00 μB/f.u. The total energy after the MP2020 corrections comes out at -5.5306 eV per atom. The formation energy is -0.607 eV per atom.

Lattice parameters (Å, degrees): 6.089 7.589 9.406 105.21 94.84 97.12
Sites, in units of the cell vectors:
V 0.541 0.884 0.673
V 0.459 0.116 0.327
Ni 0.000 0.500 0.000
H 0.993 0.564 0.732
H 0.957 0.139 0.848
H 0.072 0.198 0.433
H 0.849 0.825 0.010
H 0.151 0.175 0.990
H 0.787 0.772 0.162
H 0.811 0.374 0.709
H 0.728 0.624 0.489
H 0.574 0.438 0.073
H 0.746 0.582 0.779
H 0.007 0.436 0.268
H 0.213 0.228 0.838
H 0.609 0.264 0.933
H 0.254 0.418 0.221
H 0.426 0.562 0.927
H 0.708 0.279 0.106
H 0.928 0.802 0.567
H 0.189 0.626 0.291
H 0.268 0.187 0.569
H 0.043 0.861 0.152
H 0.391 0.736 0.067
H 0.732 0.813 0.431
H 0.272 0.376 0.511
H 0.292 0.721 0.894
N 0.129 0.497 0.221
N 0.237 0.234 0.477
N 0.314 0.645 0.968
N 0.908 0.769 0.092
N 0.871 0.503 0.779
N 0.763 0.766 0.523
N 0.686 0.355 0.032
N 0.092 0.231 0.908
O 0.654 0.108 0.629
O 0.241 0.785 0.687
O 0.759 0.215 0.313
O 0.693 0.880 0.826
O 0.307 0.120 0.174
O 0.533 0.870 0.283
O 0.346 0.892 0.371
O 0.467 0.130 0.717
O 0.362 0.651 0.595
O 0.638 0.349 0.405



Record 3
VPH7N2O5 after structural relaxation, computed with PBE+U.

Calculated values
As for the symmetry: No. 4. For the raw total energy, the calculation gives -194.1 eV/cell. Its largest piezoelectric modulus is 0.47 C/m2. For the total magnetic moment, the calculation gives 1.01 μB/f.u. The total energy after the MP2020 corrections comes out at -6.3869 eV per atom. The formation energy is -1.408 eV per atom.

Lattice parameters (Å, degrees): 4.959 6.908 8.562 89.05 90.00 90.00
Sites, in units of the cell vectors:
V 0.338 0.639 0.661
V 0.838 0.361 0.339
P 0.293 0.634 0.276
P 0.793 0.366 0.724
H 0.762 0.942 0.935
H 0.565 0.915 0.481
H 0.723 0.909 0.651
H 0.957 0.822 0.068
H 0.621 0.830 0.094
H 0.803 0.752 0.511
H 0.747 0.698 0.946
H 0.247 0.302 0.054
H 0.303 0.248 0.489
H 0.121 0.170 0.906
H 0.457 0.178 0.932
H 0.223 0.091 0.349
H 0.065 0.085 0.519
H 0.262 0.058 0.065
N 0.647 0.824 0.564
N 0.772 0.824 0.010
N 0.272 0.176 0.990
N 0.147 0.176 0.436
O 0.257 0.832 0.197
O 0.201 0.819 0.754
O 0.171 0.627 0.448
O 0.596 0.583 0.278
O 0.623 0.526 0.806
O 0.123 0.474 0.194
O 0.096 0.417 0.722
O 0.671 0.373 0.552
O 0.701 0.181 0.246
O 0.757 0.168 0.803



Record 4
V2PH10NO11 after structural relaxation, computed with PBE+U.

Calculated values
As for the symmetry: No. 19. For the raw total energy, the calculation gives -598.5 eV/cell. For the total magnetic moment, the calculation gives 0.00 μB/f.u. The total energy after the MP2020 corrections comes out at -6.4228 eV per atom. The formation energy is -1.612 eV per atom.

Lattice parameters (Å, degrees): 7.117 10.683 12.521 90.00 90.00 90.00
Sites, in units of the cell vectors:
V 0.014 0.229 0.009
V 0.201 0.529 0.918
V 0.299 0.471 0.418
V 0.486 0.771 0.509
V 0.514 0.271 0.991
V 0.701 0.971 0.082
V 0.799 0.029 0.582
V 0.986 0.729 0.491
P 0.248 0.417 0.152
P 0.252 0.583 0.652
P 0.748 0.083 0.848
P 0.752 0.917 0.348
H 0.067 0.276 0.465
H 0.061 0.895 0.034
H 0.127 0.797 0.265
H 0.143 0.087 0.507
H 0.160 0.918 0.680
H 0.138 0.198 0.785
H 0.240 0.331 0.739
H 0.252 0.972 0.464
H 0.258 0.084 0.297
H 0.280 0.797 0.162
H 0.220 0.203 0.662
H 0.242 0.916 0.797
H 0.248 0.028 0.964
H 0.260 0.669 0.239
H 0.362 0.802 0.285
H 0.340 0.082 0.180
H 0.357 0.913 0.007
H 0.373 0.203 0.765
H 0.439 0.105 0.534
H 0.433 0.724 0.965
H 0.567 0.224 0.535
H 0.561 0.605 0.966
H 0.627 0.703 0.735
H 0.643 0.413 0.493
H 0.660 0.582 0.320
H 0.638 0.302 0.215
H 0.740 0.169 0.261
H 0.752 0.528 0.536
H 0.758 0.416 0.703
H 0.780 0.703 0.838
H 0.720 0.297 0.338
H 0.742 0.584 0.203
H 0.748 0.472 0.036
H 0.760 0.831 0.761
H 0.862 0.698 0.715
H 0.840 0.418 0.820
H 0.857 0.587 0.993
H 0.873 0.297 0.235
H 0.939 0.395 0.466
H 0.933 0.776 0.035
N 0.256 0.765 0.237
N 0.244 0.235 0.737
N 0.756 0.735 0.763
N 0.744 0.265 0.263
O 0.066 0.604 0.425
O 0.057 0.401 0.922
O 0.054 0.651 0.922
O 0.047 0.354 0.425
O 0.072 0.332 0.136
O 0.072 0.665 0.633
O 0.251 0.525 0.764
O 0.253 0.809 0.484
O 0.258 0.472 0.573
O 0.261 0.035 0.231
O 0.255 0.065 0.464
O 0.245 0.935 0.964
O 0.239 0.965 0.731
O 0.242 0.528 0.073
O 0.247 0.191 0.984
O 0.249 0.475 0.264
O 0.428 0.335 0.133
O 0.428 0.668 0.636
O 0.453 0.646 0.925
O 0.446 0.349 0.422
O 0.443 0.599 0.422
O 0.434 0.396 0.925
O 0.566 0.896 0.575
O 0.557 0.099 0.078
O 0.554 0.849 0.078
O 0.547 0.146 0.575
O 0.572 0.168 0.864
O 0.572 0.835 0.367
O 0.751 0.975 0.236
O 0.753 0.691 0.516
O 0.758 0.028 0.427
O 0.761 0.465 0.769
O 0.755 0.435 0.536
O 0.745 0.565 0.036
O 0.739 0.535 0.269
O 0.742 0.972 0.927
O 0.747 0.309 0.016
O 0.749 0.025 0.736
O 0.928 0.165 0.867
O 0.928 0.832 0.364
O 0.953 0.854 0.075
O 0.946 0.151 0.578
O 0.943 0.901 0.578
O 0.934 0.104 0.075